First-principles (PBE) data for crystalline AgAuS2 at its relaxed geometry, as listed in Materials Project.

Properties
V: 108.24 Å³/f.u.
ΔH_f (0 K): -0.19 eV per atom

Lattice parameters (Å, degrees): 4.8904 5.5799 7.9333 90.00 90.00 90.00
Atoms (fractional coordinates):
Ag 0.0000 0.0000 0.2500
Ag 0.0000 0.0000 0.7500
Au 0.5000 0.5000 0.0000
Au 0.5000 0.5000 0.5000
S 0.3259 0.1152 0.0000
S 0.3259 0.8848 0.5000
S 0.6741 0.1152 0.5000
S 0.6741 0.8848 0.0000

---

First-principles (PBE) data for crystalline Ag3AuS2 at its relaxed geometry, as listed in Materials Project.

Properties
ΔE to the lowest computed polymorph: 0.0 meV/atom
V: 159.90 Å³/f.u.
ΔH_f (0 K): -0.23 eV per atom

Lattice parameters (Å, degrees): 5.4407 5.4407 5.4407 93.88 93.88 93.88
Atoms (fractional coordinates):
Ag 0.0000 0.5000 0.5000
Ag 0.5000 0.0000 0.5000
Ag 0.5000 0.5000 0.0000
Au 0.0000 0.0000 0.0000
S 0.2632 0.2632 0.2632
S 0.7368 0.7368 0.7368

---

First-principles (PBE) data for crystalline Ag4AuS2 at its relaxed geometry, as listed in Materials Project.

Properties
V: 141.45 Å³/f.u.
ΔH_f (0 K): -0.02 eV per atom

Lattice parameters (Å, degrees): 5.1708 3.9750 6.8967 90.00 93.76 90.00
Atoms (fractional coordinates):
Ag 0.1968 0.0000 0.2703
Ag 0.2079 0.5000 0.8669
Ag 0.7921 0.5000 0.1331
Ag 0.8032 0.0000 0.7297
Au 0.5000 0.5000 0.5000
S 0.0000 0.5000 0.5000
S 0.5000 0.0000 0.0000

---

First-principles (PBE) data for crystalline Ag3AuS2 at its relaxed geometry, as listed in Materials Project.

Properties
ΔE to the lowest computed polymorph: 25.7 meV/atom
V: 120.35 Å³/f.u.
ΔH_f (0 K): -0.21 eV per atom

Lattice parameters (Å, degrees): 9.8744 9.8744 9.8744 90.00 90.00 90.00
Atoms (fractional coordinates):
Ag 0.0009 0.2515 0.3842
Ag 0.0015 0.2509 0.8658
Ag 0.1158 0.9991 0.7515
Ag 0.1342 0.5015 0.2491
Ag 0.2491 0.1342 0.5015
Ag 0.2485 0.6158 0.5009
Ag 0.2515 0.3842 0.0009
Ag 0.2509 0.8658 0.0015
Ag 0.3658 0.4985 0.7491
Ag 0.3842 0.0009 0.2515
Ag 0.4985 0.7491 0.3658
Ag 0.4991 0.7485 0.8842
Ag 0.5015 0.2491 0.1342
Ag 0.5009 0.2485 0.6158
Ag 0.6158 0.5009 0.2485
Ag 0.6342 0.9985 0.7509
Ag 0.7491 0.3658 0.4985
Ag 0.7485 0.8842 0.4991
Ag 0.7515 0.1158 0.9991
Ag 0.7509 0.6342 0.9985
Ag 0.8658 0.0015 0.2509
Ag 0.8842 0.4991 0.7485
Ag 0.9991 0.7515 0.1158
Ag 0.9985 0.7509 0.6342
Au 0.1221 0.8779 0.3779
Au 0.1279 0.1279 0.1279
Au 0.3721 0.8721 0.6279
Au 0.3779 0.1221 0.8779
Au 0.6221 0.6221 0.6221
Au 0.6279 0.3721 0.8721
Au 0.8721 0.6279 0.3721
Au 0.8779 0.3779 0.1221
S 0.0108 0.4892 0.5108
S 0.0165 0.5165 0.9835
S 0.2335 0.7335 0.7665
S 0.2392 0.2608 0.7392
S 0.2608 0.7392 0.2392
S 0.2665 0.2665 0.2665
S 0.4835 0.4835 0.4835
S 0.4892 0.5108 0.0108
S 0.5108 0.0108 0.4892
S 0.5165 0.9835 0.0165
S 0.7335 0.7665 0.2335
S 0.7392 0.2392 0.2608
S 0.7608 0.7608 0.7608
S 0.7665 0.2335 0.7335
S 0.9835 0.0165 0.5165
S 0.9892 0.9892 0.9892

---

First-principles (PBE) data for crystalline Ag6Au2Se3S at its relaxed geometry, as listed in Materials Project.

Properties
V: 255.68 Å³/f.u.
ΔH_f (0 K): -0.12 eV per atom

Lattice parameters (Å, degrees): 8.7173 8.7173 10.0742 125.19 125.19 70.60
Atoms (fractional coordinates):
Ag 0.0000 0.0000 0.0000
Ag 0.0065 0.2466 0.3746
Ag 0.2517 0.4933 0.1276
Ag 0.2571 0.7429 0.5000
Ag 0.3779 0.1212 0.1261
Ag 0.3858 0.1156 0.6284
Ag 0.5038 0.4962 0.0000
Ag 0.5067 0.7483 0.8724
Ag 0.7534 0.9935 0.6254
Ag 0.7543 0.2457 0.5000
Ag 0.8788 0.6221 0.8739
Ag 0.8844 0.6142 0.3716
Au 0.1305 0.6202 0.7505
Au 0.3750 0.3696 0.4951
Au 0.3798 0.8695 0.2495
Au 0.6304 0.6250 0.5049
Se 0.0926 0.8697 0.2493
Se 0.1303 0.9074 0.7507
Se 0.1317 0.3326 0.7510
Se 0.6305 0.3371 0.2171
Se 0.6629 0.3695 0.7829
Se 0.6674 0.8683 0.2490
S 0.1034 0.3686 0.2229
S 0.6314 0.8966 0.7771

---

First-principles (PBE) data for crystalline Sc2AgAu at its relaxed geometry, as listed in Materials Project.

Properties
V: 80.27 Å³/f.u.
ΔH_f (0 K): -0.56 eV per atom

Lattice parameters (Å, degrees): 4.8420 4.8420 4.8420 60.00 60.00 60.00
Atoms (fractional coordinates):
Sc 0.2500 0.2500 0.2500
Sc 0.7500 0.7500 0.7500
Ag 0.0000 0.0000 0.0000
Au 0.5000 0.5000 0.5000

---

First-principles (PBE) data for crystalline Ag3Te2Au at its relaxed geometry, as listed in Materials Project.

Properties
V: 146.71 Å³/f.u.
Maximum piezoelectric response: 0.00 C/m²
ΔH_f (0 K): -0.07 eV per atom

Lattice parameters (Å, degrees): 9.1352 9.1352 9.1352 109.47 109.47 109.47
Atoms (fractional coordinates):
Ag 0.1407 0.7500 0.8907
Ag 0.1407 0.8907 0.2500
Ag 0.2500 0.1407 0.8907
Ag 0.2500 0.6093 0.3593
Ag 0.3593 0.2500 0.6093
Ag 0.3593 0.6093 0.7500
Ag 0.6093 0.3593 0.2500
Ag 0.6093 0.7500 0.3593
Ag 0.7500 0.3593 0.6093
Ag 0.7500 0.8907 0.1407
Ag 0.8907 0.1407 0.7500
Ag 0.8907 0.2500 0.1407
Te 0.0000 0.5413 0.5000
Te 0.0000 0.9587 0.5000
Te 0.5000 0.0000 0.5413
Te 0.5000 0.0000 0.9587
Te 0.5413 0.5000 0.0000
Te 0.5413 0.5413 0.5413
Te 0.9587 0.5000 0.0000
Te 0.9587 0.9587 0.9587
Au 0.0000 0.2500 0.5000
Au 0.2500 0.2500 0.2500
Au 0.2500 0.5000 0.0000
Au 0.5000 0.0000 0.2500

---

First-principles (PBE) data for crystalline AgTe4Au at its relaxed geometry, as listed in Materials Project.

Properties
V: 176.96 Å³/f.u.
ΔH_f (0 K): -0.07 eV per atom

Lattice parameters (Å, degrees): 9.0679 4.5782 10.2757 90.00 123.93 90.00
Atoms (fractional coordinates):
Ag 0.0000 0.0200 0.2500
Ag 0.0000 0.9800 0.7500
Te 0.2032 0.4689 0.2051
Te 0.2032 0.5311 0.7051
Te 0.3067 0.1005 0.0452
Te 0.3067 0.8995 0.5452
Te 0.6933 0.1005 0.4548
Te 0.6933 0.8995 0.9548
Te 0.7968 0.4689 0.2949
Te 0.7968 0.5311 0.7949
Au 0.5000 0.5000 0.0000
Au 0.5000 0.5000 0.5000

---

First-principles (PBE) data for crystalline AgTe10Au4 at its relaxed geometry, as listed in Materials Project.

Properties
V: 406.76 Å³/f.u.
ΔH_f (0 K): -0.05 eV per atom

Lattice parameters (Å, degrees): 4.2690 4.2690 25.7030 90.75 90.75 60.28
Atoms (fractional coordinates):
Ag 0.0000 0.0000 0.0000
Te 0.3126 0.3126 0.1417
Te 0.3133 0.3133 0.7423
Te 0.3137 0.3137 0.3423
Te 0.3142 0.3142 0.5421
Te 0.3147 0.3147 0.9409
Te 0.6853 0.6853 0.0591
Te 0.6858 0.6858 0.4579
Te 0.6863 0.6863 0.6577
Te 0.6867 0.6867 0.2577
Te 0.6874 0.6874 0.8583
Au 0.0000 0.0000 0.2001
Au 0.9999 0.9999 0.3999
Au 0.0001 0.0001 0.6001
Au 0.0000 0.0000 0.7999

---

First-principles (PBE) data for crystalline AgTe2Au at its relaxed geometry, as listed in Materials Project.

Properties
V: 106.87 Å³/f.u.
ΔH_f (0 K): 0.13 eV per atom

Lattice parameters (Å, degrees): 8.9673 4.9908 4.7758 90.00 90.00 90.00
Atoms (fractional coordinates):
Ag 0.0000 0.0000 0.0000
Ag 0.5000 0.0000 0.0000
Te 0.2500 0.0000 0.3231
Te 0.2500 0.5000 0.8177
Te 0.7500 0.0000 0.6769
Te 0.7500 0.5000 0.1823
Au 0.0000 0.5000 0.5000
Au 0.5000 0.5000 0.5000

---

First-principles (PBE) data for crystalline Tm2AgAu at its relaxed geometry, as listed in Materials Project.

Properties
V: 90.50 Å³/f.u.
ΔH_f (0 K): -0.62 eV per atom

Lattice parameters (Å, degrees): 5.0395 5.0395 5.0395 60.00 60.00 60.00
Atoms (fractional coordinates):
Tm 0.2500 0.2500 0.2500
Tm 0.7500 0.7500 0.7500
Ag 0.0000 0.0000 0.0000
Au 0.5000 0.5000 0.5000

---

First-principles (PBE) data for crystalline Y2AgAu at its relaxed geometry, as listed in Materials Project.

Properties
V: 95.33 Å³/f.u.
ΔH_f (0 K): -0.60 eV per atom

Lattice parameters (Å, degrees): 5.1277 5.1277 5.1277 60.00 60.00 60.00
Atoms (fractional coordinates):
Y 0.2500 0.2500 0.2500
Y 0.7500 0.7500 0.7500
Ag 0.0000 0.0000 0.0000
Au 0.5000 0.5000 0.5000

---

First-principles (PBE) data for crystalline Zn2AgAu at its relaxed geometry, as listed in Materials Project.

Properties
ΔE to the lowest computed polymorph: 0.0 meV/atom
V: 64.96 Å³/f.u.
ΔH_f (0 K): -0.16 eV per atom

Lattice parameters (Å, degrees): 4.5122 4.5122 4.5122 60.00 60.00 60.00
Atoms (fractional coordinates):
Zn 0.2500 0.2500 0.2500
Zn 0.7500 0.7500 0.7500
Ag 0.0000 0.0000 0.0000
Au 0.5000 0.5000 0.5000

---

First-principles (PBE) data for crystalline Zn2AgAu at its relaxed geometry, as listed in Materials Project.

Properties
ΔE to the lowest computed polymorph: 24.4 meV/atom
V: 65.70 Å³/f.u.
ΔH_f (0 K): -0.13 eV per atom

Lattice parameters (Å, degrees): 3.0481 3.0481 7.0716 90.00 90.00 90.00
Atoms (fractional coordinates):
Zn 0.0000 0.0000 0.2459
Zn 0.0000 0.0000 0.7541
Ag 0.5000 0.5000 0.5000
Au 0.5000 0.5000 0.0000

---

First-principles (PBE) data for crystalline AgB11H6CBr6 at its relaxed geometry, as listed in Materials Project.

Properties
V: 450.89 Å³/f.u.
ΔH_f (0 K): -0.45 eV per atom

Lattice parameters (Å, degrees): 12.0500 11.3663 13.1683 90.00 90.00 90.00
Atoms (fractional coordinates):
Ag 0.0000 0.0000 0.0000
Ag 0.0000 0.5000 0.0000
Ag 0.5000 0.0000 0.5000
Ag 0.5000 0.5000 0.5000
B 0.0807 0.1717 0.4970
B 0.0807 0.3283 0.4970
B 0.1423 0.1234 0.6130
B 0.1423 0.3766 0.6130
B 0.1804 0.2500 0.6850
B 0.1822 0.2500 0.4252
B 0.1929 0.7500 0.9994
B 0.2177 0.6713 0.1152
B 0.2177 0.8287 0.1152
B 0.2204 0.1224 0.4988
B 0.2204 0.3776 0.4988
B 0.2796 0.6224 0.9988
B 0.2796 0.8776 0.9988
B 0.2823 0.1713 0.6152
B 0.2823 0.3287 0.6152
B 0.3071 0.2500 0.4994
B 0.3178 0.7500 0.9252
B 0.3196 0.7500 0.1850
B 0.3577 0.6234 0.1130
B 0.3577 0.8766 0.1130
B 0.4193 0.6717 0.9970
B 0.4193 0.8283 0.9970
B 0.5807 0.1717 0.0030
B 0.5807 0.3283 0.0030
B 0.6423 0.1234 0.8870
B 0.6423 0.3766 0.8870
B 0.6804 0.2500 0.8150
B 0.6822 0.2500 0.0748
B 0.6929 0.7500 0.5006
B 0.7177 0.6713 0.3848
B 0.7177 0.8287 0.3848
B 0.7204 0.1224 0.0012
B 0.7204 0.3776 0.0012
B 0.7796 0.6224 0.5012
B 0.7796 0.8776 0.5012
B 0.7823 0.1713 0.8848
B 0.7823 0.3287 0.8848
B 0.8071 0.2500 0.0006
B 0.8178 0.7500 0.5748
B 0.8196 0.7500 0.3150
B 0.8577 0.6234 0.3870
B 0.8577 0.8766 0.3870
B 0.9193 0.6717 0.5030
B 0.9193 0.8283 0.5030
H 0.0029 0.1207 0.4639
H 0.0029 0.3793 0.4639
H 0.0126 0.7500 0.3568
H 0.1062 0.0394 0.6551
H 0.1062 0.4606 0.6551
H 0.1682 0.2500 0.7745
H 0.3318 0.7500 0.2745
H 0.3938 0.5394 0.1551
H 0.3938 0.9606 0.1551
H 0.4874 0.2500 0.8568
H 0.4971 0.6207 0.9639
H 0.4971 0.8793 0.9639
H 0.5029 0.1207 0.0361
H 0.5029 0.3793 0.0361
H 0.5126 0.7500 0.1432
H 0.6062 0.0394 0.8449
H 0.6062 0.4606 0.8449
H 0.6682 0.2500 0.7255
H 0.8318 0.7500 0.2255
H 0.8938 0.5394 0.3449
H 0.8938 0.9606 0.3449
H 0.9874 0.2500 0.6432
H 0.9971 0.6207 0.5361
H 0.9971 0.8793 0.5361
C 0.0680 0.2500 0.6067
C 0.4320 0.7500 0.1067
C 0.5680 0.2500 0.8933
C 0.9320 0.7500 0.3933
Br 0.0461 0.7500 0.9335
Br 0.0992 0.5795 0.1822
Br 0.0992 0.9205 0.1822
Br 0.1855 0.2500 0.2766
Br 0.2311 0.0268 0.9359
Br 0.2311 0.4732 0.9359
Br 0.2689 0.5268 0.4359
Br 0.2689 0.9732 0.4359
Br 0.3145 0.7500 0.7766
Br 0.4008 0.0795 0.6822
Br 0.4008 0.4205 0.6822
Br 0.4539 0.2500 0.4335
Br 0.5461 0.7500 0.5665
Br 0.5992 0.5795 0.3178
Br 0.5992 0.9205 0.3178
Br 0.6855 0.2500 0.2234
Br 0.7311 0.0268 0.5641
Br 0.7311 0.4732 0.5641
Br 0.7689 0.5268 0.0641
Br 0.7689 0.9732 0.0641
Br 0.8145 0.7500 0.7234
Br 0.9008 0.0795 0.8178
Br 0.9008 0.4205 0.8178
Br 0.9539 0.2500 0.0665